# GaPd3

Crystalline GaPd3 at its relaxed geometry (PBE, the Materials Project).

abc: 4.4161 4.4161 4.4161
angles: 60.00 60.00 60.00
Closest atoms and distances in Å follow each position.
Positions (direct):
Ga: 0.0000 0.0000 0.0000  8 Pd 2.70
Pd: 0.2500 0.2500 0.2500  4 Pd 2.70, 4 Ga 2.70
Pd: 0.5000 0.5000 0.5000  8 Pd 2.70
Pd: 0.7500 0.7500 0.7500  4 Pd 2.70, 4 Ga 2.70

space group = No. 225
formation energy from the elements = -0.44 eV/atom

# GaPd3

Crystalline GaPd3 at its relaxed geometry (PBE, the Materials Project).

abc: 3.9289 3.9289 3.9289
angles: 90.00 90.00 90.00
Closest atoms and distances in Å follow each position.
Positions (direct):
Ga: 0.0000 0.0000 0.0000  12 Pd 2.78
Pd: 0.0000 0.5000 0.5000  8 Pd 2.78, 4 Ga 2.78
Pd: 0.5000 0.0000 0.5000  8 Pd 2.78, 4 Ga 2.78
Pd: 0.5000 0.5000 0.0000  8 Pd 2.78, 4 Ga 2.78

space group = No. 221
formation energy from the elements = -0.45 eV/atom

# Ga5Pd

Crystalline Ga5Pd at its relaxed geometry (PBE, the Materials Project).

abc: 6.8433 6.8433 6.8433
angles: 123.10 123.10 84.72
Closest atoms and distances in Å follow each position.
Positions (direct):
Ga: 0.0000 0.0000 0.0000  2 Pd 2.53
Ga: 0.0064 0.5064 0.7917  7 Ga 2.69-2.95, 2 Pd 2.74
Ga: 0.2147 0.0064 0.5000  7 Ga 2.69-2.95, 2 Pd 2.74
Ga: 0.2853 0.7853 0.7917  7 Ga 2.69-2.95, 2 Pd 2.74
Ga: 0.4936 0.2853 0.5000  7 Ga 2.69-2.95, 2 Pd 2.74
Ga: 0.5000 0.5000 0.0000  2 Pd 2.53
Ga: 0.5064 0.7147 0.5000  7 Ga 2.69-2.95, 2 Pd 2.74
Ga: 0.7147 0.2147 0.2083  7 Ga 2.69-2.95, 2 Pd 2.74
Ga: 0.7853 0.9936 0.5000  7 Ga 2.69-2.95, 2 Pd 2.74
Ga: 0.9936 0.4936 0.2083  7 Ga 2.69-2.95, 2 Pd 2.74
Pd: 0.2500 0.2500 0.0000  10 Ga 2.53-2.74
Pd: 0.7500 0.7500 0.0000  10 Ga 2.53-2.74

space group = No. 140
formation energy from the elements = -0.26 eV/atom

# GaPd3

Crystalline GaPd3 at its relaxed geometry (PBE, the Materials Project).

abc: 5.6140 5.6140 4.4562
angles: 90.00 90.00 120.00
Closest atoms and distances in Å follow each position.
Positions (direct):
Ga: 0.3333 0.6667 0.2500  12 Pd 2.75-2.81
Ga: 0.6667 0.3333 0.7500  12 Pd 2.75-2.81
Pd: 0.1684 0.3368 0.7500  4 Ga 2.75-2.81, 8 Pd 2.77-2.84
Pd: 0.1684 0.8316 0.7500  4 Ga 2.75-2.81, 8 Pd 2.77-2.84
Pd: 0.3368 0.1684 0.2500  4 Ga 2.75-2.81, 8 Pd 2.77-2.84
Pd: 0.6632 0.8316 0.7500  4 Ga 2.75-2.81, 8 Pd 2.77-2.84
Pd: 0.8316 0.1684 0.2500  4 Ga 2.75-2.81, 8 Pd 2.77-2.84
Pd: 0.8316 0.6632 0.2500  4 Ga 2.75-2.81, 8 Pd 2.77-2.84

space group = No. 194
formation energy from the elements = -0.45 eV/atom

# Ga7Pd3

Crystalline Ga7Pd3 at its relaxed geometry (PBE, the Materials Project).

abc: 7.6871 7.6871 7.6871
angles: 109.47 109.47 109.47
Closest atoms and distances in Å follow each position.
Positions (direct):
Ga: 0.0000 0.0000 0.3276  3 Pd 2.60, 4 Ga 2.65-2.91
Ga: 0.0000 0.0000 0.6724  3 Pd 2.60, 4 Ga 2.65-2.91
Ga: 0.0000 0.3276 0.0000  3 Pd 2.60, 4 Ga 2.65-2.91
Ga: 0.0000 0.6724 0.0000  3 Pd 2.60, 4 Ga 2.65-2.91
Ga: 0.2500 0.5000 0.7500  4 Pd 2.62
Ga: 0.2500 0.7500 0.5000  4 Pd 2.62
Ga: 0.3276 0.0000 0.0000  3 Pd 2.60, 4 Ga 2.65-2.91
Ga: 0.3276 0.3276 0.3276  3 Pd 2.60, 4 Ga 2.65-2.91
Ga: 0.5000 0.2500 0.7500  4 Pd 2.62
Ga: 0.5000 0.7500 0.2500  4 Pd 2.62
Ga: 0.6724 0.0000 0.0000  3 Pd 2.60, 4 Ga 2.65-2.91
Ga: 0.6724 0.6724 0.6724  3 Pd 2.60, 4 Ga 2.65-2.91
Ga: 0.7500 0.2500 0.5000  4 Pd 2.62
Ga: 0.7500 0.5000 0.2500  4 Pd 2.62
Pd: 0.0000 0.3439 0.3439  8 Ga 2.60-2.62, 1 Pd 2.77
Pd: 0.0000 0.6561 0.6561  8 Ga 2.60-2.62, 1 Pd 2.77
Pd: 0.3439 0.0000 0.3439  8 Ga 2.60-2.62, 1 Pd 2.77
Pd: 0.3439 0.3439 0.0000  8 Ga 2.60-2.62, 1 Pd 2.77
Pd: 0.6561 0.0000 0.6561  8 Ga 2.60-2.62, 1 Pd 2.77
Pd: 0.6561 0.6561 0.0000  8 Ga 2.60-2.62, 1 Pd 2.77

space group = No. 229
formation energy from the elements = -0.45 eV/atom

# GaPd2

Crystalline GaPd2 at its relaxed geometry (PBE, the Materials Project).

abc: 5.5904 4.1026 7.9085
angles: 90.00 90.00 90.00
Closest atoms and distances in Å follow each position.
Positions (direct):
Ga: 0.2050 0.2500 0.1080  7 Pd 2.58-2.66
Ga: 0.2950 0.7500 0.6080  7 Pd 2.58-2.66
Ga: 0.7050 0.2500 0.3920  7 Pd 2.58-2.66
Ga: 0.7950 0.7500 0.8920  7 Pd 2.58-2.66
Pd: 0.0413 0.2500 0.7919  5 Ga 2.59-2.89, 4 Pd 2.86-2.87
Pd: 0.1642 0.2500 0.4336  4 Ga 2.58-2.59, 2 Pd 2.86
Pd: 0.3358 0.7500 0.9336  4 Ga 2.58-2.59, 2 Pd 2.86
Pd: 0.4587 0.7500 0.2919  5 Ga 2.59-2.89, 4 Pd 2.86-2.87
Pd: 0.5413 0.2500 0.7081  5 Ga 2.59-2.89, 4 Pd 2.86-2.87
Pd: 0.6642 0.2500 0.0664  4 Ga 2.58-2.59, 2 Pd 2.86
Pd: 0.8358 0.7500 0.5664  4 Ga 2.58-2.59, 2 Pd 2.86
Pd: 0.9587 0.7500 0.2081  5 Ga 2.59-2.89, 4 Pd 2.86-2.87

space group = No. 62
formation energy from the elements = -0.65 eV/atom

Which of these has the lowest formation energy from the elements? GaPd2

What did the sixth record say?
# GaPd2

Crystalline GaPd2 at its relaxed geometry (PBE, the Materials Project).

abc: 5.5904 4.1026 7.9085
angles: 90.00 90.00 90.00
Closest atoms and distances in Å follow each position.
Positions (direct):
Ga: 0.2050 0.2500 0.1080  7 Pd 2.58-2.66
Ga: 0.2950 0.7500 0.6080  7 Pd 2.58-2.66
Ga: 0.7050 0.2500 0.3920  7 Pd 2.58-2.66
Ga: 0.7950 0.7500 0.8920  7 Pd 2.58-2.66
Pd: 0.0413 0.2500 0.7919  5 Ga 2.59-2.89, 4 Pd 2.86-2.87
Pd: 0.1642 0.2500 0.4336  4 Ga 2.58-2.59, 2 Pd 2.86
Pd: 0.3358 0.7500 0.9336  4 Ga 2.58-2.59, 2 Pd 2.86
Pd: 0.4587 0.7500 0.2919  5 Ga 2.59-2.89, 4 Pd 2.86-2.87
Pd: 0.5413 0.2500 0.7081  5 Ga 2.59-2.89, 4 Pd 2.86-2.87
Pd: 0.6642 0.2500 0.0664  4 Ga 2.58-2.59, 2 Pd 2.86
Pd: 0.8358 0.7500 0.5664  4 Ga 2.58-2.59, 2 Pd 2.86
Pd: 0.9587 0.7500 0.2081  5 Ga 2.59-2.89, 4 Pd 2.86-2.87

space group = No. 62
formation energy from the elements = -0.65 eV/atom

formation energy from the elements of number 3 (Ga5Pd)? -0.26 eV/atom

Repeat the fifth record exactly.
# Ga7Pd3

Crystalline Ga7Pd3 at its relaxed geometry (PBE, the Materials Project).

abc: 7.6871 7.6871 7.6871
angles: 109.47 109.47 109.47
Closest atoms and distances in Å follow each position.
Positions (direct):
Ga: 0.0000 0.0000 0.3276  3 Pd 2.60, 4 Ga 2.65-2.91
Ga: 0.0000 0.0000 0.6724  3 Pd 2.60, 4 Ga 2.65-2.91
Ga: 0.0000 0.3276 0.0000  3 Pd 2.60, 4 Ga 2.65-2.91
Ga: 0.0000 0.6724 0.0000  3 Pd 2.60, 4 Ga 2.65-2.91
Ga: 0.2500 0.5000 0.7500  4 Pd 2.62
Ga: 0.2500 0.7500 0.5000  4 Pd 2.62
Ga: 0.3276 0.0000 0.0000  3 Pd 2.60, 4 Ga 2.65-2.91
Ga: 0.3276 0.3276 0.3276  3 Pd 2.60, 4 Ga 2.65-2.91
Ga: 0.5000 0.2500 0.7500  4 Pd 2.62
Ga: 0.5000 0.7500 0.2500  4 Pd 2.62
Ga: 0.6724 0.0000 0.0000  3 Pd 2.60, 4 Ga 2.65-2.91
Ga: 0.6724 0.6724 0.6724  3 Pd 2.60, 4 Ga 2.65-2.91
Ga: 0.7500 0.2500 0.5000  4 Pd 2.62
Ga: 0.7500 0.5000 0.2500  4 Pd 2.62
Pd: 0.0000 0.3439 0.3439  8 Ga 2.60-2.62, 1 Pd 2.77
Pd: 0.0000 0.6561 0.6561  8 Ga 2.60-2.62, 1 Pd 2.77
Pd: 0.3439 0.0000 0.3439  8 Ga 2.60-2.62, 1 Pd 2.77
Pd: 0.3439 0.3439 0.0000  8 Ga 2.60-2.62, 1 Pd 2.77
Pd: 0.6561 0.0000 0.6561  8 Ga 2.60-2.62, 1 Pd 2.77
Pd: 0.6561 0.6561 0.0000  8 Ga 2.60-2.62, 1 Pd 2.77

space group = No. 229
formation energy from the elements = -0.45 eV/atom